[1]
Li8FeO4F2 | PBE with a Hubbard U | optimized geometry

Cell: 5.4493 5.5915 11.0042 Å, 101.61 84.81 117.40°
Closest atoms and distances in Å follow each position.
Atoms (fractional coordinates):
1 O 0.7373 0.9362 0.8717  5 Li 1.90-2.03, 1 Fe 1.97
2 O 0.3783 0.2872 0.8777  6 Li 1.90-2.07
3 O 0.4215 0.8622 0.6194  5 Li 1.87-2.00
4 O 0.5785 0.1378 0.3806  5 Li 1.87-2.00
5 O 0.6217 0.7128 0.1223  6 Li 1.90-2.07
6 O 0.2627 0.0638 0.1283  5 Li 1.90-2.03, 1 Fe 1.97
7 O 0.2914 0.4947 0.3648  5 Li 1.93-2.00, 1 Fe 1.94
8 O 0.7086 0.5053 0.6352  5 Li 1.93-2.00, 1 Fe 1.94
9 Li 0.3687 0.1961 0.6856  1 F 1.93, 3 O 2.00-2.07
10 Li 0.0853 0.5889 0.6648  2 O 1.87-1.93, 1 F 1.98
11 Li 0.7369 0.8685 0.6894  3 O 1.93-1.97, 1 F 1.97
12 Li 0.2820 0.8343 0.4534  3 O 1.97-1.99, 1 F 2.04
13 Li 0.4368 0.6648 0.9664  3 O 1.98-2.03
14 Li 0.4259 0.9657 0.8246  2 O 1.90, 1 F 1.97
15 Li 0.2631 0.1315 0.3106  3 O 1.93-1.97, 1 F 1.97
16 Li 0.0422 0.2741 0.8315  2 F 1.90-1.98, 2 O 1.91-1.96
17 Li 0.7180 0.1657 0.5466  3 O 1.97-1.99, 1 F 2.04
18 Li 0.6313 0.8039 0.3144  1 F 1.93, 3 O 2.00-2.07
19 Li 0.5632 0.3352 0.0336  3 O 1.98-2.03
20 Li 0.9578 0.7259 0.1685  2 F 1.90-1.98, 2 O 1.91-1.96
21 Li 0.2851 0.4358 0.1846  3 O 1.95-2.00, 1 F 1.99
22 Li 0.7149 0.5642 0.8154  3 O 1.95-2.00, 1 F 1.99
23 Li 0.5741 0.0343 0.1754  2 O 1.90, 1 F 1.97
24 Li 0.9147 0.4111 0.3352  2 O 1.87-1.93, 1 F 1.98
25 F 0.9626 0.7885 0.3516  5 Li 1.93-2.04
26 F 0.0374 0.2115 0.6484  5 Li 1.93-2.04
27 F 0.0930 0.6402 0.8590  4 Li 1.90-2.10
28 F 0.9070 0.3598 0.1410  4 Li 1.90-2.10
29 Fe 0.5000 0.5000 0.5000  2 O 1.94
30 Fe 0.0000 0.0000 0.0000  2 O 1.97

For the mass density, the calculation gives 2.4 g cm⁻³. The space-group type is P-1, No. 2. For the formation energy, the calculation gives -2226 meV per atom. As for the total magnetization: 4.0 μB/f.u.

---

[2]
Li8FeO4F2 | PBE with a Hubbard U | optimized geometry

Cell: 5.8239 9.0061 12.0776 Å, 104.17 91.56 90.08°
Closest atoms and distances in Å follow each position.
Atoms (fractional coordinates):
1 F 0.5540 0.0013 0.8422  5 Li 1.93-2.06
2 F 0.3033 0.2507 0.3436  5 Li 1.92-2.05
3 F 0.6968 0.7491 0.6558  5 Li 1.93-2.04
4 F 0.1967 0.2493 0.6563  5 Li 1.92-2.05
5 F 0.9461 0.4987 0.1578  5 Li 1.93-2.06
6 F 0.0544 0.5013 0.8425  5 Li 1.93-2.05
7 F 0.4458 0.9984 0.1575  5 Li 1.93-2.05
8 F 0.8033 0.7509 0.3440  5 Li 1.92-2.05
9 Fe 0.5000 0.5001 0.0000  4 O 2.01-2.14
10 Fe 0.2500 0.7500 0.5001  4 O 2.01-2.14
11 Fe 0.7503 0.2501 0.5001  4 O 2.01-2.14
12 Fe 0.0000 0.0000 0.0000  4 O 2.01-2.14
13 Li 0.8359 0.5603 0.5499  3 O 1.95-2.01, 1 F 2.04
14 Li 0.0859 0.3097 0.0502  3 O 1.95-2.01, 1 F 2.06
15 Li 0.5207 0.4256 0.3569  2 O 1.89-1.90, 1 F 1.99
16 Li 0.9645 0.2305 0.3074  3 O 1.93-1.97, 1 F 2.01
17 Li 0.4140 0.1903 0.9497  3 O 1.95-2.01, 1 F 2.06
18 Li 0.1641 0.4399 0.4499  3 O 1.95-2.01, 1 F 2.05
19 Li 0.7934 0.6921 0.1737  2 F 1.93-1.99, 2 O 1.94-1.99
20 Li 0.5860 0.8096 0.0502  3 O 1.95-2.01, 1 F 2.05
21 Li 0.0355 0.7694 0.6926  3 O 1.93-1.97, 1 F 2.01
22 Li 0.2295 0.8244 0.1436  2 O 1.89-1.90, 1 F 1.98
23 Li 0.2066 0.3078 0.8263  2 F 1.93-1.99, 2 O 1.94-1.99
24 Li 0.7706 0.1756 0.8564  2 O 1.89-1.90, 1 F 1.98
25 Li 0.2706 0.6755 0.8565  2 O 1.89-1.90, 1 F 1.98
26 Li 0.2856 0.5194 0.1929  3 O 1.93-1.98, 1 F 2.01
27 Li 0.7856 0.0192 0.1930  3 O 1.93-1.98, 1 F 2.01
28 Li 0.0433 0.4421 0.6730  2 F 1.92-1.99, 2 O 1.93-1.99
29 Li 0.9141 0.6902 0.9497  3 O 1.95-2.01, 1 F 2.05
30 Li 0.6641 0.9399 0.4501  3 O 1.95-2.01, 1 F 2.05
31 Li 0.0207 0.9254 0.3570  2 O 1.89-1.90, 1 F 1.99
32 Li 0.4567 0.0579 0.3271  2 F 1.92-1.99, 2 O 1.93-1.99
33 Li 0.7065 0.8080 0.8264  2 F 1.93-2.00, 2 O 1.94-1.99
34 Li 0.2143 0.9806 0.8070  3 O 1.93-1.97, 1 F 2.01
35 Li 0.7144 0.4807 0.8069  3 O 1.93-1.97, 1 F 2.01
36 Li 0.2934 0.1921 0.1736  2 F 1.93-1.99, 2 O 1.94-1.99
37 Li 0.3359 0.0601 0.5500  3 O 1.95-2.01, 1 F 2.05
38 Li 0.7293 0.3245 0.1436  2 O 1.89-1.90, 1 F 1.98
39 Li 0.4793 0.5746 0.6430  2 O 1.89-1.90, 1 F 1.99
40 Li 0.5356 0.2695 0.6924  3 O 1.93-1.98, 1 F 2.01
41 Li 0.9792 0.0743 0.6430  2 O 1.89-1.90, 1 F 1.99
42 Li 0.4643 0.7306 0.3074  3 O 1.93-1.98, 1 F 2.01
43 Li 0.9568 0.5579 0.3270  2 F 1.92-1.98, 2 O 1.94-1.99
44 Li 0.5432 0.9423 0.6731  2 F 1.93-1.98, 2 O 1.93-1.99
45 O 0.4576 0.6726 0.1387  5 Li 1.90-1.99, 1 Fe 2.01
46 O 0.9575 0.1726 0.1387  5 Li 1.90-1.99, 1 Fe 2.01
47 O 0.7075 0.4232 0.6382  5 Li 1.90-1.99, 1 Fe 2.01
48 O 0.5424 0.3274 0.8613  5 Li 1.90-1.99, 1 Fe 2.01
49 O 0.2073 0.9232 0.6384  5 Li 1.90-1.99, 1 Fe 2.01
50 O 0.8304 0.4112 0.4027  5 Li 1.89-2.01
51 O 0.2927 0.5769 0.3617  5 Li 1.90-1.99, 1 Fe 2.01
52 O 0.0803 0.1610 0.9027  5 Li 1.89-2.01
53 O 0.9197 0.8390 0.0973  5 Li 1.89-2.01
54 O 0.6695 0.0888 0.5974  5 Li 1.89-2.01
55 O 0.4196 0.3391 0.0973  5 Li 1.89-2.01
56 O 0.7926 0.0769 0.3619  5 Li 1.90-1.99, 1 Fe 2.01
57 O 0.1697 0.5887 0.5973  5 Li 1.89-2.01
58 O 0.0423 0.8274 0.8613  5 Li 1.90-1.99, 1 Fe 2.01
59 O 0.5804 0.6610 0.9027  5 Li 1.89-2.01
60 O 0.3303 0.9113 0.4027  5 Li 1.89-2.01

For the mass density, the calculation gives 2.3 g cm⁻³. For the formation energy, the calculation gives -2231 meV per atom. As for the total magnetization: 0.0 μB/f.u.

---

[3]
Li3Fe3OF7 | PBE with a Hubbard U | optimized geometry

Cell: 3.1186 5.1889 10.2597 Å, 89.77 90.00 90.00°
Closest atoms and distances in Å follow each position.
Atoms (fractional coordinates):
1 Li 0.0000 0.6117 0.0434  2 F 1.83-2.03, 2 O 2.01
2 Li 0.5000 0.0537 0.4475  4 F 1.86-2.06
3 Li 0.0000 0.5248 0.3570  5 F 1.97-2.15
4 Fe 0.5000 0.0345 0.1361  1 O 1.99, 5 F 2.04-2.18
5 Fe 0.0000 0.9772 0.8715  2 O 2.06, 4 F 2.15-2.28
6 Fe 0.5000 0.4788 0.6351  6 F 2.06-2.23
7 F 0.0000 0.2572 0.5279  3 Li 2.06-2.23, 2 Fe 2.23
8 F 0.0000 0.7892 0.2192  2 Li 1.97-2.03, 2 Fe 2.18
9 F 0.0000 0.6793 0.7175  3 Fe 2.06-2.22
10 F 0.5000 0.6963 0.4634  1 Li 1.86
11 F 0.5000 0.1769 0.7685  3 Fe 2.08-2.15
12 F 0.5000 0.2686 0.2953  1 Li 1.91, 1 Fe 2.04
13 F 0.0000 0.2598 0.0416  1 Li 1.83
14 O 0.5000 0.8179 0.9760  3 Fe 1.99-2.06, 2 Li 2.01

For the mass density, the calculation gives 3.4 g cm⁻³. The space-group type is Pm, No. 6. For the formation energy, the calculation gives -2533 meV per atom. As for the total magnetization: 12.0 μB/f.u.

---

[4]
LiFe5O4F8 | PBE with a Hubbard U | optimized geometry

Cell: 4.7081 4.7081 9.1821 Å, 90.00 90.00 93.14°
Closest atoms and distances in Å follow each position.
Atoms (fractional coordinates):
1 F 0.3083 0.3083 0.0000  1 Li 2.00, 2 Fe 2.05
2 F 0.1998 0.8002 0.8369  2 Fe 2.00-2.06, 1 Li 2.03
3 F 0.8002 0.1998 0.8369  2 Fe 2.00-2.06, 1 Li 2.03
4 F 0.1914 0.8086 0.5000  3 Fe 2.09-2.11
5 F 0.8086 0.1914 0.5000  3 Fe 2.09-2.11
6 F 0.6917 0.6917 0.0000  1 Li 2.00, 2 Fe 2.05
7 F 0.1998 0.8002 0.1631  2 Fe 2.00-2.06, 1 Li 2.03
8 F 0.8002 0.1998 0.1631  2 Fe 2.00-2.06, 1 Li 2.03
9 Fe 0.5000 0.5000 0.5000  4 O 2.01, 2 F 2.11
10 Fe 0.5000 0.5000 0.8224  2 O 1.93, 4 F 2.05-2.06
11 Fe 0.0000 0.0000 0.3229  2 O 1.93, 4 F 2.00-2.09
12 Fe 0.0000 0.0000 0.6771  2 O 1.93, 4 F 2.00-2.09
13 Fe 0.5000 0.5000 0.1776  2 O 1.93, 4 F 2.05-2.06
14 O 0.7015 0.7015 0.6670  3 Fe 1.93-2.01
15 O 0.2985 0.2985 0.6670  3 Fe 1.93-2.01
16 O 0.7015 0.7015 0.3330  3 Fe 1.93-2.01
17 O 0.2985 0.2985 0.3330  3 Fe 1.93-2.01
18 Li 0.0000 0.0000 0.0000  6 F 2.00-2.03

For the mass density, the calculation gives 4.1 g cm⁻³. The space-group type is Cmmm, No. 65. For the formation energy, the calculation gives -2304 meV per atom.

---

[5]
Li7FeO4F2 | PBE with a Hubbard U | optimized geometry

Cell: 5.5270 5.9372 10.1206 Å, 84.51 76.15 118.23°
Closest atoms and distances in Å follow each position.
Atoms (fractional coordinates):
1 Li 0.7461 0.2783 0.0576  1 F 1.87, 2 O 1.88-2.02
2 Li 0.5002 0.0048 0.6149  4 O 1.95-2.04
3 Li 0.4841 0.4753 0.8784  3 O 1.88-2.03, 1 F 1.89
4 Li 0.2054 0.6690 0.9563  1 F 1.89, 3 O 1.90-2.04
5 Li 0.4781 0.9431 0.3820  2 F 1.86-1.92, 1 O 1.97
6 Li 0.5258 0.5578 0.1191  2 F 1.87-2.06, 2 O 1.89-2.07
7 Li 0.3293 0.3436 0.6764  5 O 2.15-2.35
8 Li 0.0961 0.0718 0.2267  2 F 1.88-1.92, 1 O 1.98
9 Li 0.9073 0.8799 0.7501  3 O 1.85-1.96, 1 F 2.02
10 Li 0.1015 0.6047 0.7514  4 O 1.94-2.01
11 Li 0.6699 0.1489 0.8243  1 F 2.09, 4 O 2.13-2.29
12 Li 0.9062 0.4685 0.2684  1 F 1.97, 2 O 1.97
13 Li 0.2852 0.2616 0.4422  2 F 1.91-2.08, 2 O 1.92-2.13
14 Li 0.7557 0.7878 0.5406  1 F 1.93, 3 O 1.99-2.09
15 F 0.6007 0.7951 0.9340  5 Li 1.89-2.09
16 F 0.7668 0.0862 0.2074  3 Li 1.86-1.92
17 F 0.2294 0.4306 0.2917  3 Li 1.87-1.97
18 F 0.1084 0.9012 0.3889  4 Li 1.88-2.08
19 O 0.0647 0.3294 0.8883  4 Li 1.94-2.04, 1 Fe 2.02
20 O 0.3946 0.2262 0.0388  4 Li 1.88-2.07, 1 Fe 1.90
21 O 0.9098 0.1232 0.6197  2 Li 1.85-2.04, 1 Fe 1.93
22 O 0.6409 0.3099 0.4637  3 Li 1.92-1.97, 1 Fe 1.93
23 O 0.2484 0.9472 0.8033  5 Li 1.95-2.13, 1 Fe 1.96
24 O 0.7515 0.5370 0.7019  4 Li 1.90-2.09, 1 Fe 1.96
25 O 0.3474 0.6716 0.5536  5 Li 1.97-2.15, 1 Fe 1.98
26 O 0.9177 0.6749 0.0998  3 Li 1.89-1.97, 1 Fe 1.94
27 Fe 0.0784 0.0176 0.9766  4 O 1.90-2.02
28 Fe 0.9506 0.4546 0.5439  4 O 1.93-1.98

For the mass density, the calculation gives 2.5 g cm⁻³. The space-group type is P1, No. 1. For the formation energy, the calculation gives -2267 meV per atom. As for the total magnetization: 5.0 μB/f.u.

---

[6]
Li2FeO2F | PBE with a Hubbard U | optimized geometry

Cell: 5.1137 5.1137 5.2324 Å, 77.96 102.04 62.80°
Closest atoms and distances in Å follow each position.
Atoms (fractional coordinates):
1 Li 0.7555 0.7423 0.2442  2 F 2.03-2.09, 3 O 2.07-2.18
2 Li 0.5592 0.6075 0.7773  4 O 2.03-2.11, 1 F 2.05
3 Li 0.3925 0.4408 0.2773  4 O 2.03-2.11, 1 F 2.05
4 Li 0.2577 0.2445 0.7441  2 F 2.03-2.09, 3 O 2.07-2.18
5 O 0.1488 0.7055 0.4998  2 Fe 1.93-2.01, 3 Li 2.06-2.11
6 O 0.9956 0.4915 0.0045  2 Fe 1.93-1.97, 3 Li 2.03-2.14
7 O 0.2945 0.8512 0.9998  2 Fe 1.93-2.01, 3 Li 2.06-2.11
8 O 0.5085 0.0044 0.5045  2 Fe 1.93-1.97, 3 Li 2.03-2.14
9 Fe 0.9334 0.8628 0.7462  4 O 1.93-2.01
10 Fe 0.1372 0.0666 0.2461  4 O 1.93-2.01
11 F 0.6765 0.1593 0.9781  3 Li 2.03-2.09, 2 Fe 2.25-2.26
12 F 0.8407 0.3236 0.4781  3 Li 2.03-2.09, 2 Fe 2.25-2.26

For the mass density, the calculation gives 3.6 g cm⁻³. The largest piezoelectric modulus comes out at 1.080 C/m2. The space-group type is Cc, No. 9. For the formation energy, the calculation gives -2286 meV per atom. As for the total magnetization: 0.0 μB/f.u.